No. 1
Entry from Materials Project: a geometry-optimized ZrTiCuO5 structure (PBE).

Structure (extended XYZ):
```
32
Lattice="3.619 0.000 0.000 0.000 6.798 0.000 0.000 0.000 14.830" Properties=species:S:1:pos:R:3 pbc="T T T"
Zr 2.084 1.103 5.994
Zr 0.274 2.295 8.836
Zr 3.346 5.694 13.409
Zr 1.536 4.502 1.421
O 1.416 6.389 2.354
O 3.225 3.807 12.476
O 3.290 1.004 0.540
O 3.339 4.201 0.253
O 1.408 2.480 2.212
O 2.204 2.990 5.061
O 1.556 5.743 11.999
O 1.530 5.996 14.577
O 0.330 4.402 6.874
O 2.090 2.597 7.668
O 0.254 1.055 4.584
O 2.139 5.794 7.955
O 2.063 2.344 10.246
O 1.480 2.395 14.289
O 0.402 4.318 9.627
O 2.212 5.878 5.203
O 0.280 0.802 7.162
O 0.394 0.408 9.769
O 3.218 0.919 12.618
O 3.366 4.454 2.831
Ti 0.331 5.806 8.529
Ti 2.141 4.390 6.301
Ti 3.288 2.407 13.716
Ti 1.479 0.991 1.114
Cu 0.003 2.725 3.646
Cu 3.616 6.123 3.769
Cu 1.813 0.674 11.184
Cu 1.807 4.073 11.061
```

Values from the calculation:
**Raw total energy**: -261.1 eV/cell
**Total magnetization**: 4.006 μB per cell
**Space-group type**: No. 19
**Formation energy from the elements**: -2929 meV/atom

---

No. 2
Entry from Materials Project: a geometry-optimized Pr2Fe17H3 structure (PBE).

Structure (extended XYZ):
```
22
Lattice="0.103 -1.952 6.191 -4.379 -4.729 -0.779 4.359 -4.721 -0.922" Properties=species:S:1:pos:R:3 pbc="T T T"
Fe 0.008 -1.111 0.437
Fe 2.180 -2.361 -0.461
Fe 0.002 -6.530 -0.188
Fe 1.894 -4.723 -0.882
Fe 0.081 -4.872 4.677
Fe 2.247 -6.281 1.058
Fe 3.159 -3.940 1.084
Fe -3.115 -3.945 1.187
Fe 0.075 -10.291 4.052
Fe -1.161 -2.735 4.224
Fe 2.283 -5.117 3.359
Fe 0.052 -0.976 3.095
Fe -1.914 -4.727 -0.820
Fe -2.190 -2.364 -0.390
Fe -2.164 -5.121 3.431
Fe -2.200 -6.285 1.130
Fe 1.304 -2.733 4.184
H -2.138 -3.340 2.706
H 2.231 -3.337 2.634
H -0.010 -4.725 -0.851
Pr 0.054 -7.475 2.943
Pr 0.029 -3.927 1.546
```

Values from the calculation:
**Raw total energy**: -164.0 eV/cell
**Total magnetization**: 37.954 μB per cell
**Space-group type**: No. 166
**Formation energy from the elements**: -38 meV/atom

---

No. 3
Entry from Materials Project: a geometry-optimized Ba2Tl2Sn3O10 structure (PBE).

Structure (extended XYZ):
```
17
Lattice="3.904 0.000 0.000 0.010 3.930 0.000 0.403 0.752 19.625" Properties=species:S:1:pos:R:3 pbc="T T T"
O 2.972 3.195 13.028
O 1.021 3.339 3.880
O 2.960 1.369 3.862
O 3.062 3.584 8.920
O 1.093 1.604 10.715
O 1.070 1.313 6.606
O 0.949 1.405 1.184
O 2.893 3.384 18.447
O 0.947 3.256 15.745
O 2.896 1.305 15.786
Tl 3.033 3.045 10.978
Tl 1.091 1.099 8.648
Sn 2.899 3.276 16.438
Sn 1.004 1.374 3.200
Sn 2.755 0.935 0.058
Ba 0.973 1.263 13.862
Ba 2.993 3.305 5.778
```

Values from the calculation:
**Raw total energy**: -95.7 eV/cell
**Total magnetization**: 0.004 μB per cell
**Space-group type**: No. 1
**Formation energy from the elements**: -1912 meV/atom

---

No. 4
Entry from Materials Project: a geometry-optimized Ag3P3O10 structure (PBE).

Structure (extended XYZ):
```
32
Lattice="-7.491 -2.326 0.905 1.908 -7.189 2.650 -2.543 -1.794 8.697" Properties=species:S:1:pos:R:3 pbc="T T T"
Ag -7.130 -4.068 5.557
Ag -0.996 -7.241 6.695
Ag -3.272 -8.809 3.685
Ag -4.854 -2.501 8.567
Ag -1.829 -4.066 9.129
Ag -6.297 -7.243 3.123
P -5.446 -8.217 6.434
P -1.735 -5.179 4.045
P -3.786 -7.478 8.690
P -4.339 -3.832 3.562
P -6.391 -6.130 8.207
P -2.680 -3.092 5.818
O -6.984 -9.515 11.105
O -1.542 -6.659 4.315
O -2.430 -6.799 8.707
O -7.418 -6.876 9.007
O -4.008 -7.959 7.149
O -4.920 -6.338 8.839
O -6.158 -9.356 7.093
O -5.696 -4.510 3.544
O -4.069 -2.694 2.621
O -1.910 -4.492 5.513
O -6.583 -4.650 7.936
O -4.057 -8.615 9.631
O -6.215 -6.817 6.739
O -3.206 -4.972 3.413
O -5.182 -8.239 4.952
O -4.118 -3.350 5.103
O -1.968 -1.953 5.159
O -2.943 -3.070 7.300
O -0.708 -4.433 3.245
O -1.141 -1.794 1.147
```

Values from the calculation:
**Raw total energy**: -191.7 eV/cell
**Total magnetization**: 4.000 μB per cell
**Space-group type**: No. 12
**Formation energy from the elements**: -1781 meV/atom

---

No. 5
Entry from Materials Project: a geometry-optimized CaReH4ClO6 structure (PBE).

Structure (extended XYZ):
```
26
Lattice="3.487 -7.160 0.000 3.487 7.160 0.000 0.000 0.000 6.838" Properties=species:S:1:pos:R:3 pbc="T T T"
H 1.345 -0.653 6.408
H 1.345 0.653 2.989
H 5.628 0.653 0.430
H 5.628 0.653 2.989
H 1.345 -0.653 3.849
H 5.628 -0.653 3.849
H 1.345 0.653 0.430
H 5.628 -0.653 6.408
O 3.487 2.563 3.115
O 5.559 2.526 5.128
O 1.415 -2.526 1.709
O 5.009 0.000 0.000
O 1.415 2.526 5.128
O 5.559 -2.526 1.709
O 1.965 0.000 0.000
O 3.487 -2.563 3.722
O 5.009 0.000 3.419
O 3.487 -2.563 6.534
O 3.487 2.563 0.304
O 1.965 0.000 3.419
Ca 3.487 -1.261 1.709
Ca 3.487 1.261 5.128
Cl 3.487 -5.450 1.709
Cl 3.487 5.450 5.128
Re 3.487 -3.610 5.128
Re 3.487 3.610 1.709
```

Values from the calculation:
**Raw total energy**: -161.1 eV/cell
**Total magnetization**: 0.000 μB per cell
**Space-group type**: No. 63
**Formation energy from the elements**: -1931 meV/atom

---

No. 6
Entry from Materials Project: a geometry-optimized EuZn2Ga2 structure (PBE).

Structure (extended XYZ):
```
5
Lattice="-2.693 -1.281 3.160 3.211 0.402 2.899 -1.159 4.669 3.893" Properties=species:S:1:pos:R:3 pbc="T T T"
Zn -0.574 3.054 6.724
Zn -0.067 0.735 3.228
Eu 0.000 0.000 0.000
Ga 1.155 2.316 4.911
Ga -1.797 1.474 5.041
```

Values from the calculation:
**Raw total energy**: -20.8 eV/cell
**Space-group type**: No. 139
**Formation energy from the elements**: -391 meV/atom

---

No. 7
Entry from Materials Project: a geometry-optimized K2ScHgBr6 structure (PBE).

Structure (extended XYZ):
```
10
Lattice="0.000 5.676 5.676 5.676 0.000 5.676 5.676 5.676 0.000" Properties=species:S:1:pos:R:3 pbc="T T T"
Hg 5.676 5.676 5.676
K 2.838 2.838 2.838
K 8.514 8.514 8.514
Br 2.661 5.676 5.676
Br 8.692 5.676 5.676
Br 5.676 2.661 5.676
Br 5.676 5.676 8.692
Br 5.676 8.692 5.676
Br 5.676 5.676 2.661
Sc 0.000 0.000 0.000
```

Values from the calculation:
**Raw total energy**: -32.3 eV/cell
**Total magnetization**: 0.008 μB per cell
**Space-group type**: No. 225
**Formation energy from the elements**: -1685 meV/atom

---

No. 8
Entry from Materials Project: a geometry-optimized PrGaPd2 structure (PBE).

Structure (extended XYZ):
```
16
Lattice="5.815 0.000 0.000 0.000 7.161 0.000 0.000 0.000 7.633" Properties=species:S:1:pos:R:3 pbc="T T T"
Pd 3.419 3.961 5.168
Pd 0.511 3.200 6.281
Pd 2.397 0.381 2.465
Pd 2.397 3.200 2.465
Pd 5.304 6.780 1.351
Pd 3.419 6.780 5.168
Pd 0.511 0.381 6.281
Pd 5.304 3.961 1.351
Ga 0.881 1.790 0.915
Ga 3.789 5.371 2.901
Ga 2.026 1.790 4.731
Ga 4.934 5.371 6.718
Pr 0.872 5.371 4.070
Pr 3.780 1.790 7.379
Pr 4.943 1.790 3.562
Pr 2.035 5.371 0.254
```

Values from the calculation:
**Raw total energy**: -86.2 eV/cell
**Space-group type**: No. 62
**Formation energy from the elements**: -847 meV/atom

---

No. 9
Entry from Materials Project: a geometry-optimized YMg15 structure (PBE).

Structure (extended XYZ):
```
16
Lattice="3.262 -5.650 0.000 3.262 5.650 0.000 0.000 0.000 10.323" Properties=species:S:1:pos:R:3 pbc="T T T"
Mg 4.862 2.807 5.162
Mg 4.891 0.943 7.762
Mg 1.633 0.943 2.561
Mg 3.262 0.036 5.162
Mg 1.633 0.943 7.762
Mg 3.262 -0.002 0.000
Mg 3.262 3.765 2.561
Mg 1.633 -2.824 0.000
Mg 3.262 -1.883 7.718
Mg 3.262 3.765 7.762
Mg 3.262 -1.883 2.605
Mg 4.891 0.943 2.561
Mg 1.662 2.807 5.162
Mg 4.891 -2.824 0.000
Mg 0.000 0.000 0.000
Y 0.000 0.000 5.162
```

Values from the calculation:
**Raw total energy**: -30.5 eV/cell
**Space-group type**: No. 187
**Formation energy from the elements**: -2 meV/atom

---

No. 10
Entry from Materials Project: a geometry-optimized HfMg14SiO16 structure (PBE).

Structure (extended XYZ):
```
32
Lattice="-6.251 -2.504 -5.834 5.682 0.910 -6.479 1.195 -4.088 0.474" Properties=species:S:1:pos:R:3 pbc="T T T"
O 3.439 -1.589 -3.003
O -1.660 -1.017 -4.588
O 0.160 -3.244 -9.006
O 0.598 -2.044 0.237
O -2.679 -3.699 -5.769
O -1.851 -1.425 -7.619
O -4.495 -1.801 -4.195
O 1.092 -0.577 -7.725
O 1.459 0.234 -1.664
O 4.223 0.676 -4.816
O 3.306 -1.984 -6.070
O 0.467 -2.438 -2.833
O 0.313 -2.841 -5.920
O -2.528 -3.296 -2.680
O 1.283 -0.169 -4.694
O -1.756 -0.703 -1.639
Mg -0.324 -1.166 -9.239
Mg -1.019 -2.692 -1.272
Mg 4.914 -1.353 -4.685
Mg -3.125 -1.252 -2.917
Mg -3.262 -1.637 -5.890
Mg 1.744 -2.612 -7.551
Mg 1.963 -1.825 -1.320
Mg -1.117 -3.070 -4.289
Mg -4.036 -3.900 -4.088
Mg -0.284 -0.797 -6.157
Mg 1.810 -2.241 -4.522
Mg -0.244 -0.428 -3.074
Mg 2.693 0.043 -6.423
Mg -1.183 -3.441 -7.317
Si 0.000 0.000 0.000
Hf 2.841 0.455 -3.240
```

Values from the calculation:
**Raw total energy**: -194.6 eV/cell
**Total magnetization**: 1.468 μB per cell
**Space-group type**: No. 47
**Formation energy from the elements**: -2770 meV/atom

---

No. 11
Entry from Materials Project: a geometry-optimized Ti14O7F60 structure (PBE).

Structure (extended XYZ):
```
81
Lattice="-4.638 0.496 -5.258 1.469 -10.077 -2.312 -13.284 -4.568 11.243" Properties=species:S:1:pos:R:3 pbc="T T T"
F -12.017 -10.660 6.591
F -5.549 -10.304 0.928
F -12.158 -6.236 3.388
F -10.919 -3.830 2.795
F -10.742 -12.544 8.058
F -15.110 -6.570 3.304
F -4.380 -3.584 -2.794
F -10.423 -7.919 5.460
F -6.377 -11.948 4.316
F -13.331 -13.035 7.203
F -15.578 -7.992 6.273
F -9.023 -8.515 0.935
F -10.073 -2.195 -0.637
F -7.428 -5.606 2.758
F -2.623 -0.751 -0.928
F -5.258 -9.591 3.502
F -4.842 -5.164 3.552
F -3.170 -2.128 2.526
F -0.540 -9.912 -0.735
F -11.190 -4.567 0.201
F -10.323 -10.781 1.589
F -7.921 -7.148 6.069
F -3.144 -1.334 -3.598
F -1.420 -7.494 0.347
F -15.974 -9.446 3.864
F -2.516 -9.101 -4.858
F -4.979 -4.103 -5.355
F -8.752 -4.815 7.163
F -6.036 -6.265 -1.785
F -9.342 -10.226 4.509
F -8.519 -7.887 3.530
F -6.525 -7.907 1.744
F -2.732 -5.161 1.804
F -3.598 -6.516 -3.886
F -8.656 -12.500 6.207
F -7.937 -6.193 0.164
F -9.951 -6.242 1.935
F -6.168 -3.284 2.099
F -12.964 -11.220 3.583
F -13.837 -13.634 4.631
F -11.526 -5.004 6.887
F -7.057 -3.898 -0.899
F -13.475 -3.575 5.030
F -3.163 -10.600 -1.369
F -12.927 -7.454 7.639
F -12.573 -6.924 10.325
F -8.554 -6.986 -2.387
F -8.402 -10.831 -0.371
F -8.030 -3.348 4.087
F -11.361 -4.715 9.503
F -4.269 -7.976 0.279
F -13.703 -8.963 1.869
F -5.792 -1.714 -4.367
F -0.604 -6.146 -2.706
F -7.677 -9.375 -3.483
F -3.782 -7.323 -6.519
F -13.868 -5.221 8.525
F -3.466 -3.145 -0.033
F -11.615 -8.961 0.113
F -4.755 -8.980 -3.473
Ti -8.827 -8.775 5.502
Ti -6.382 -3.924 3.779
Ti -13.429 -12.599 2.587
Ti -4.491 -7.765 -4.744
Ti -4.304 -2.820 -4.364
Ti -10.043 -10.219 -0.118
Ti -12.182 -11.223 8.257
Ti -11.801 -5.108 1.951
Ti -15.583 -4.321 8.580
Ti -7.580 -5.371 -1.825
Ti -4.592 -9.006 1.695
Ti -8.186 -7.052 1.825
Ti -12.039 -6.297 8.646
Ti -3.037 -1.228 1.026
O -7.023 -1.461 0.054
O -11.271 -5.759 5.709
O -11.175 -8.132 2.939
O -15.336 -9.329 6.710
O -4.817 -3.502 0.291
O -1.983 -8.017 -2.362
O -8.138 -10.447 2.685
```

Values from the calculation:
**Raw total energy**: -474.0 eV/cell
**Total magnetization**: 12.000 μB per cell
**Space-group type**: No. 1
**Formation energy from the elements**: -3044 meV/atom

---

No. 12
Entry from Materials Project: a geometry-optimized Sr2LiO12 structure (PBE).

Structure (extended XYZ):
```
15
Lattice="3.531 3.113 0.958 -3.888 3.576 -0.888 0.213 0.081 8.288" Properties=species:S:1:pos:R:3 pbc="T T T"
O 1.887 4.688 6.068
O -0.401 3.576 4.711
O 0.189 3.824 7.940
O -2.338 4.001 6.866
O 0.966 1.335 6.789
O 0.379 2.993 3.895
O -2.811 2.714 2.851
O -1.333 5.468 1.629
O -0.244 3.553 0.904
O 1.376 5.009 3.064
O 2.661 4.032 5.213
O 2.240 2.576 1.389
Sr -0.546 5.876 6.180
Sr 0.301 0.952 1.875
Li -0.646 2.583 6.522
```

Values from the calculation:
**Raw total energy**: -77.8 eV/cell
**Relative energy among the computed polymorphs**: 22 meV/atom
**Total magnetization**: 2.999 μB per cell
**Space-group type**: No. 1
**Formation energy from the elements**: -1007 meV/atom